First-principles (PBE-GGA) data for CaNi5H after structural relaxation, as listed in the Materials Project database.

Results
Energy relative to the lowest polymorph listed for this composition in eV per atom: 0.000
Formation energy from the elements in meV per atom: -144
Uncorrected energy in eV per atom: -5.018

a b c (Å): 4.8448 8.8276 3.9329
angles (deg): 90.00 90.00 90.00
Space group Cmm2 (No. 35)
Unique sites:
1 Ca 0.0000 0.0000 0.0000 [2 per cell]
2 Ni 0.0000 0.3205 0.0043 [4 per cell]
3 Ni 0.0000 0.5000 0.4972 [2 per cell]
4 Ni 0.2500 0.2500 0.5014 [4 per cell]
5 H 0.0000 0.5000 0.9213 [2 per cell]